Crystalline In2CuSe3I at its relaxed geometry, computed with GGA-PBE.

The structure belongs to space group Cm (No. 8); the cell edges are 14.224, 4.188 and 7.316 Å and the angles 90.00°, 100.05° and 90.00°. The asymmetric unit holds In at (0.000, 0.000, 0.000), In at (0.243, 0.000, 0.749), Cu at (0.004, 0.500, 0.499), Se at (0.054, 0.000, 0.666), Se at (0.061, 0.500, 0.203), Se at (0.307, 0.500, 0.957) and I at (0.315, 0.000, 0.422).

Crystalline In2CuTe3I at its relaxed geometry, computed with GGA-PBE.

The structure belongs to space group P1 (No. 1); the cell edges are 6.263, 6.267 and 7.689 Å and the angles 66.06°, 66.04° and 89.89°. The asymmetric unit holds In at (0.000, 0.000, 0.000), In at (0.272, 0.727, 0.457), Cu at (0.466, 0.462, 0.994), Te at (0.101, 0.569, 0.235), Te at (0.412, 0.357, 0.723), Te at (0.614, 0.150, 0.239) and I at (0.849, 0.853, 0.735).

| no. | total energy (eV/atom) | ΔE_f (eV/atom) |
| --- | --- | --- |
| 1 | -3.5367 | -0.50 |
| 2 | -3.2188 | -0.34 |